The following is a DFT calculation (PBE) of Ba3TaNb4O15 after structural relaxation.

The structure in CIF format:
```
data_Ba3TaNb4O15
_chemical_formula_sum 'Ba6 Ta2 Nb8 O30'
_space_group_name_H-M_alt 'P 4/m b m'
_space_group_IT_number 127
_space_group_name_Hall '-P 4 2ab'
_cell_length_a 12.8307
_cell_length_b 12.8307
_cell_length_c 4.0379
_cell_angle_alpha 90.00
_cell_angle_beta 90.00
_cell_angle_gamma 90.00
loop_
_atom_site_label
_atom_site_fract_x
_atom_site_fract_y
_atom_site_fract_z
_atom_site_occupancy
Ba1 0.0000 0.0000 0.0000 1
Ba2 0.1697 0.3303 0.0000 1
Ta1 0.0000 0.5000 0.5000 1
Nb1 0.0769 0.7868 0.5000 1
O1 0.0000 0.5000 0.0000 1
O2 0.0073 0.3449 0.5000 1
O3 0.0697 0.1395 0.5000 1
O4 0.0768 0.7905 0.0000 1
O5 0.2190 0.7190 0.5000 1
```

Results
energy relative to the elements = -3.255 eV per atom
final energy = -8.5561 eV/atom

***

The following is a DFT calculation (PBE) of Ba2TbNbO6 after structural relaxation.

The structure in CIF format:
```
data_Ba2TbNbO6
_chemical_formula_sum 'Ba8 Tb4 Nb4 O24'
_space_group_name_H-M_alt 'F m -3 m'
_space_group_IT_number 225
_space_group_name_Hall '-F 4 2 3'
_cell_length_a 8.5817
_cell_length_b 8.5817
_cell_length_c 8.5817
_cell_angle_alpha 90.00
_cell_angle_beta 90.00
_cell_angle_gamma 90.00
loop_
_atom_site_label
_atom_site_fract_x
_atom_site_fract_y
_atom_site_fract_z
_atom_site_occupancy
Ba1 0.2500 0.2500 0.2500 1
Tb1 0.0000 0.0000 0.0000 1
Nb1 0.0000 0.0000 0.5000 1
O1 0.0000 0.0000 0.2638 1
```

Results
energy relative to the elements = -3.448 eV per atom
final energy = -7.8621 eV/atom

***

The following is a DFT calculation (PBE) of Ba2TbNbO6 after structural relaxation.

The structure in CIF format:
```
data_Ba2TbNbO6
_chemical_formula_sum 'Ba4 Tb2 Nb2 O12'
_space_group_name_H-M_alt 'I 4/m'
_space_group_IT_number 87
_space_group_name_Hall '-I 4'
_cell_length_a 6.0410
_cell_length_b 6.0410
_cell_length_c 8.6144
_cell_angle_alpha 90.00
_cell_angle_beta 90.00
_cell_angle_gamma 90.00
loop_
_atom_site_label
_atom_site_fract_x
_atom_site_fract_y
_atom_site_fract_z
_atom_site_occupancy
Ba1 0.0000 0.5000 0.2500 1
Tb1 0.0000 0.0000 0.0000 1
Nb1 0.0000 0.0000 0.5000 1
O1 0.0000 0.0000 0.2639 1
O2 0.2029 0.7318 0.5000 1
```

Results
energy relative to the elements = -3.452 eV per atom
final energy = -7.8658 eV/atom

***

The following is a DFT calculation (PBE) of Ba2TbNbO6 after structural relaxation.

The structure in CIF format:
```
data_Ba2TbNbO6
_chemical_formula_sum 'Ba8 Tb4 Nb4 O24'
_space_group_name_H-M_alt 'P n -3'
_space_group_IT_number 201
_cell_length_a 8.5655
_cell_length_b 8.5655
_cell_length_c 8.5655
_cell_angle_alpha 90.00
_cell_angle_beta 90.00
_cell_angle_gamma 90.00
loop_
_space_group_symop_operation_xyz
'x,y,z'
'-x,-y,-z'
'-x+1/2,-y+1/2,z'
'x+1/2,y+1/2,-z'
'x,-y+1/2,-z+1/2'
'-x,y+1/2,z+1/2'
'-x+1/2,y,-z+1/2'
'x+1/2,-y,z+1/2'
'z,x,y'
'-z,-x,-y'
'z,-x+1/2,-y+1/2'
'-z,x+1/2,y+1/2'
'-z+1/2,x,-y+1/2'
'z+1/2,-x,y+1/2'
'-z+1/2,-x+1/2,y'
'z+1/2,x+1/2,-y'
'y,z,x'
'-y,-z,-x'
'-y+1/2,z,-x+1/2'
'y+1/2,-z,x+1/2'
'-y+1/2,-z+1/2,x'
'y+1/2,z+1/2,-x'
'y,-z+1/2,-x+1/2'
'-y,z+1/2,x+1/2'
loop_
_atom_site_label
_atom_site_fract_x
_atom_site_fract_y
_atom_site_fract_z
_atom_site_occupancy
Ba1 0.2500 0.2500 0.2500 1
Ba2 0.2500 0.2500 0.7500 1
Tb1 0.0000 0.0000 0.0000 1
Nb1 0.0000 0.0000 0.5000 1
O1 0.0170 0.5185 0.7644 1
```

Results
energy relative to the elements = -3.445 eV per atom
final energy = -7.8587 eV/atom

***

The following is a DFT calculation (PBE) of Ba2Nb2TeO10 after structural relaxation.

The structure in CIF format:
```
data_Ba2Nb2TeO10
_chemical_formula_sum 'Ba8 Nb8 Te4 O40'
_space_group_name_H-M_alt 'P b c a'
_space_group_IT_number 61
_cell_length_a 7.3787
_cell_length_b 12.7017
_cell_length_c 10.0689
_cell_angle_alpha 90.00
_cell_angle_beta 90.00
_cell_angle_gamma 90.00
loop_
_space_group_symop_operation_xyz
'x,y,z'
'-x,-y,-z'
'-x+1/2,-y,z+1/2'
'x+1/2,y,-z+1/2'
'x+1/2,-y+1/2,-z'
'-x+1/2,y+1/2,z'
'-x,y+1/2,-z+1/2'
'x,-y+1/2,z+1/2'
loop_
_atom_site_label
_atom_site_fract_x
_atom_site_fract_y
_atom_site_fract_z
_atom_site_occupancy
Ba1 0.0152 0.1408 0.1114 1
Nb1 0.2113 0.1049 0.7436 1
Te1 0.0000 0.0000 0.5000 1
O1 0.0552 0.5835 0.6658 1
O2 0.0780 0.1382 0.5696 1
O3 0.1208 0.5554 0.1539 1
O4 0.2213 0.2422 0.7957 1
O5 0.2332 0.5138 0.9049 1
```

Results
energy relative to the elements = -2.859 eV per atom
final energy = -7.5119 eV/atom

***

The following is a DFT calculation (PBE) of Ba2Nb6Te2O21 after structural relaxation.

The structure in CIF format:
```
data_Ba2Nb6Te2O21
_chemical_formula_sum 'Ba4 Nb12 Te4 O42'
_space_group_name_H-M_alt 'C 1 2/m 1'
_space_group_IT_number 12
_cell_length_a 16.9690
_cell_length_b 5.7832
_cell_length_c 9.8305
_cell_angle_alpha 90.00
_cell_angle_beta 96.84
_cell_angle_gamma 90.00
loop_
_space_group_symop_operation_xyz
'x,y,z'
'-x,-y,-z'
'-x,y,-z'
'x,-y,z'
'x+1/2,y+1/2,z'
'-x+1/2,-y+1/2,-z'
'-x+1/2,y+1/2,-z'
'x+1/2,-y+1/2,z'
loop_
_atom_site_label
_atom_site_fract_x
_atom_site_fract_y
_atom_site_fract_z
_atom_site_occupancy
Ba1 0.1404 0.0000 0.0287 1
Nb1 0.0189 0.5000 0.1624 1
Nb2 0.0977 0.0000 0.4140 1
Nb3 0.1766 0.5000 0.6680 1
Te1 0.2262 0.5000 0.2507 1
O1 0.0000 0.0000 0.5000 1
O2 0.0000 0.2778 0.0000 1
O3 0.0650 0.2408 0.2792 1
O4 0.0816 0.5000 0.7785 1
O5 0.1421 0.5000 0.1042 1
O6 0.1451 0.2492 0.5530 1
O7 0.2092 0.0000 0.3494 1
O8 0.2180 0.2404 0.8313 1
```

Results
energy relative to the elements = -2.851 eV per atom
final energy = -8.0195 eV/atom

***

The following is a DFT calculation (PBE) of Ba3TiNb4O15 after structural relaxation.

The structure in CIF format:
```
data_Ba3TiNb4O15
_chemical_formula_sum 'Ba6 Ti2 Nb8 O30'
_space_group_name_H-M_alt 'P 1 c 1'
_space_group_IT_number 7
_cell_length_a 4.1243
_cell_length_b 12.7398
_cell_length_c 12.6746
_cell_angle_alpha 90.00
_cell_angle_beta 90.13
_cell_angle_gamma 90.00
loop_
_space_group_symop_operation_xyz
'x,y,z'
'x,-y,z+1/2'
loop_
_atom_site_label
_atom_site_fract_x
_atom_site_fract_y
_atom_site_fract_z
_atom_site_occupancy
Ba1 0.0000 0.0722 0.0000 1
Ba2 0.0097 0.2472 0.6650 1
Ba3 0.9905 0.4162 0.3454 1
Ti1 0.5404 0.1690 0.4564 1
Nb1 0.4407 0.2512 0.1762 1
Nb2 0.5267 0.4587 0.5939 1
Nb3 0.5277 0.0357 0.7447 1
Nb4 0.5310 0.3239 0.8856 1
O1 0.4819 0.4668 0.9506 1
O2 0.4841 0.3908 0.7367 1
O3 0.4851 0.1094 0.6005 1
O4 0.4852 0.1826 0.8085 1
O5 0.4873 0.3210 0.5273 1
O6 0.4875 0.0311 0.3868 1
O7 0.4894 0.2538 0.3279 1
O8 0.4924 0.2430 0.0134 1
O9 0.4928 0.4052 0.1773 1
O10 0.4935 0.0932 0.1610 1
O11 0.9677 0.1704 0.4633 1
O12 0.9851 0.3280 0.8753 1
O13 0.9850 0.4585 0.5915 1
O14 0.9858 0.0436 0.7477 1
O15 0.9897 0.2489 0.1705 1
```

Results
energy relative to the elements = -3.260 eV per atom
distance to the lowest polymorph of the same formula = 0.006 eV/atom
final energy = -8.3891 eV/atom

***

The following is a DFT calculation (PBE) of Ba3TiNb4O15 after structural relaxation.

The structure in CIF format:
```
data_Ba3TiNb4O15
_chemical_formula_sum 'Ba6 Ti2 Nb8 O30'
_space_group_name_H-M_alt 'P 4 b m'
_space_group_IT_number 100
_cell_length_a 12.6906
_cell_length_b 12.6906
_cell_length_c 4.1344
_cell_angle_alpha 90.00
_cell_angle_beta 90.00
_cell_angle_gamma 90.00
loop_
_space_group_symop_operation_xyz
'x,y,z'
'-y,x,z'
'-x,-y,z'
'y,-x,z'
'-x+1/2,y+1/2,z'
'y+1/2,x+1/2,z'
'x+1/2,-y+1/2,z'
'-y+1/2,-x+1/2,z'
loop_
_atom_site_label
_atom_site_fract_x
_atom_site_fract_y
_atom_site_fract_z
_atom_site_occupancy
Ba1 0.0000 0.0000 0.0000 1
Ba2 0.1632 0.3368 0.9926 1
Ti1 0.0000 0.5000 0.4646 1
Nb1 0.0734 0.7833 0.4813 1
O1 0.0000 0.5000 0.0424 1
O2 0.0063 0.3453 0.5274 1
O3 0.0683 0.1404 0.5269 1
O4 0.0751 0.7914 0.0273 1
O5 0.2186 0.7186 0.5252 1
```

Results
energy relative to the elements = -3.265 eV per atom
distance to the lowest polymorph of the same formula = 0.000 eV/atom
final energy = -8.3946 eV/atom

***

The following is a DFT calculation (PBE) of Ba2TmNbO6 after structural relaxation.

The structure in CIF format:
```
data_Ba2TmNbO6
_chemical_formula_sum 'Ba8 Tm4 Nb4 O24'
_space_group_name_H-M_alt 'F m -3 m'
_space_group_IT_number 225
_space_group_name_Hall '-F 4 2 3'
_cell_length_a 8.4976
_cell_length_b 8.4976
_cell_length_c 8.4976
_cell_angle_alpha 90.00
_cell_angle_beta 90.00
_cell_angle_gamma 90.00
loop_
_atom_site_label
_atom_site_fract_x
_atom_site_fract_y
_atom_site_fract_z
_atom_site_occupancy
Ba1 0.2500 0.2500 0.2500 1
Tm1 0.0000 0.0000 0.0000 1
Nb1 0.0000 0.0000 0.5000 1
O1 0.0000 0.0000 0.2613 1
```

Results
energy relative to the elements = -3.493 eV per atom
final energy = -7.8912 eV/atom

***

The following is a DFT calculation (PBE) of Ba2YNbO6 after structural relaxation.

The structure in CIF format:
```
data_Ba2YNbO6
_chemical_formula_sum 'Ba8 Y4 Nb4 O24'
_space_group_name_H-M_alt 'P n -3'
_space_group_IT_number 201
_cell_length_a 8.5491
_cell_length_b 8.5491
_cell_length_c 8.5491
_cell_angle_alpha 90.00
_cell_angle_beta 90.00
_cell_angle_gamma 90.00
loop_
_space_group_symop_operation_xyz
'x,y,z'
'-x,-y,-z'
'-x+1/2,-y+1/2,z'
'x+1/2,y+1/2,-z'
'x,-y+1/2,-z+1/2'
'-x,y+1/2,z+1/2'
'-x+1/2,y,-z+1/2'
'x+1/2,-y,z+1/2'
'z,x,y'
'-z,-x,-y'
'z,-x+1/2,-y+1/2'
'-z,x+1/2,y+1/2'
'-z+1/2,x,-y+1/2'
'z+1/2,-x,y+1/2'
'-z+1/2,-x+1/2,y'
'z+1/2,x+1/2,-y'
'y,z,x'
'-y,-z,-x'
'-y+1/2,z,-x+1/2'
'y+1/2,-z,x+1/2'
'-y+1/2,-z+1/2,x'
'y+1/2,z+1/2,-x'
'y,-z+1/2,-x+1/2'
'-y,z+1/2,x+1/2'
loop_
_atom_site_label
_atom_site_fract_x
_atom_site_fract_y
_atom_site_fract_z
_atom_site_occupancy
Ba1 0.2500 0.2500 0.2500 1
Ba2 0.2500 0.2500 0.7500 1
Y1 0.0000 0.0000 0.0000 1
Nb1 0.0000 0.0000 0.5000 1
O1 0.0171 0.5188 0.7640 1
```

Results
energy relative to the elements = -3.445 eV per atom
final energy = -8.0420 eV/atom

***

The following is a DFT calculation (PBE) of Ba2YNbO6 after structural relaxation.

The structure in CIF format:
```
data_Ba2YNbO6
_chemical_formula_sum 'Ba8 Y4 Nb4 O24'
_space_group_name_H-M_alt 'F m -3 m'
_space_group_IT_number 225
_space_group_name_Hall '-F 4 2 3'
_cell_length_a 8.5648
_cell_length_b 8.5648
_cell_length_c 8.5648
_cell_angle_alpha 90.00
_cell_angle_beta 90.00
_cell_angle_gamma 90.00
loop_
_atom_site_label
_atom_site_fract_x
_atom_site_fract_y
_atom_site_fract_z
_atom_site_occupancy
Ba1 0.2500 0.2500 0.2500 1
Y1 0.0000 0.0000 0.0000 1
Nb1 0.0000 0.0000 0.5000 1
O1 0.0000 0.0000 0.2634 1
```

Results
energy relative to the elements = -3.449 eV per atom
final energy = -8.0461 eV/atom

***

Looking at magnetization for the records above, in order, we have 0.010 0.000 0.000 0.000 0.000 0.005 0.004 0.000 0.000 0.000 0.000 μB/cell.
Looking at total energy after the MP2020 corrections for the records above, in order, we have -414.2 -331.0 -165.6 -330.8 -478.2 -526.1 -406.5 -406.8 -332.1 -338.2 -338.3 eV per cell.